(1)
This record from Materials Project describes a relaxed NbCoTe2 crystal. The functional is PBE.

Properties
The formation energy is -0.589 eV per atom. Its calculated density is 7.18 g/cm3. Its space group is No. 14.

a b c (Å): 8.4283 6.3717 7.8115
angles (deg): 90.00 116.19 90.00
Closest atoms and distances in Å follow each position.
Element x y z (fractional)
Nb 0.0112 0.0135 0.3030  3 Co 2.61-2.82, 4 Te 2.82-2.89
Nb 0.0112 0.4865 0.8030  3 Co 2.61-2.82, 4 Te 2.82-2.89
Nb 0.9888 0.5135 0.1970  3 Co 2.61-2.82, 4 Te 2.82-2.89
Nb 0.9888 0.9865 0.6970  3 Co 2.61-2.82, 4 Te 2.82-2.89
Co 0.1104 0.6454 0.5577  1 Co 2.50, 4 Te 2.54-2.61, 2 Nb 2.61-2.67
Co 0.1104 0.8546 0.0577  1 Co 2.50, 4 Te 2.54-2.61, 2 Nb 2.61-2.67
Co 0.8896 0.1454 0.9423  1 Co 2.50, 4 Te 2.54-2.61, 2 Nb 2.61-2.67
Co 0.8896 0.3546 0.4423  1 Co 2.50, 4 Te 2.54-2.61, 2 Nb 2.61-2.67
Te 0.2206 0.2426 0.1296  2 Co 2.59-2.61, 2 Nb 2.82-2.84
Te 0.2206 0.2574 0.6296  2 Co 2.59-2.61, 2 Nb 2.82-2.84
Te 0.3095 0.7495 0.4047  2 Co 2.54-2.57, 1 Nb 2.83
Te 0.3095 0.7505 0.9047  2 Co 2.54-2.57, 1 Nb 2.83
Te 0.6905 0.2495 0.0953  2 Co 2.54-2.57, 1 Nb 2.83
Te 0.6905 0.2505 0.5953  2 Co 2.54-2.57, 1 Nb 2.83
Te 0.7794 0.7426 0.3704  2 Co 2.59-2.61, 2 Nb 2.82-2.84
Te 0.7794 0.7574 0.8704  2 Co 2.59-2.61, 2 Nb 2.82-2.84

---

(2)
This record from Materials Project describes a relaxed NbCoTe2 crystal. The functional is PBE.

Properties
The formation energy is -0.589 eV per atom. Its calculated density is 7.09 g/cm3. Its space group is No. 64. The size of the total moment comes out at 0.1 μB per formula unit.

a b c (Å): 8.6068 8.6068 6.3753
angles (deg): 90.00 90.00 126.15
Closest atoms and distances in Å follow each position.
Element x y z (fractional)
Nb 0.2065 0.2065 0.0000  4 Co 2.61-2.91, 4 Te 2.83-2.86
Nb 0.2935 0.2935 0.5000  4 Co 2.61-2.91, 4 Te 2.83-2.86
Nb 0.7065 0.7065 0.5000  4 Co 2.61-2.91, 4 Te 2.83-2.86
Nb 0.7935 0.7935 0.0000  4 Co 2.61-2.91, 4 Te 2.83-2.86
Co 0.0555 0.9445 0.6441  1 Co 2.51, 4 Te 2.55-2.60, 2 Nb 2.61
Co 0.4445 0.5555 0.1441  1 Co 2.51, 4 Te 2.55-2.60, 2 Nb 2.61
Co 0.5555 0.4445 0.8559  1 Co 2.51, 4 Te 2.55-2.60, 2 Nb 2.61
Co 0.9445 0.0555 0.3559  1 Co 2.51, 4 Te 2.55-2.60, 2 Nb 2.61
Te 0.0967 0.4033 0.2500  2 Co 2.55
Te 0.1081 0.8919 0.2560  2 Co 2.59-2.60, 2 Nb 2.83
Te 0.3919 0.6081 0.7560  2 Co 2.59-2.60, 2 Nb 2.83
Te 0.4033 0.0967 0.7500  2 Co 2.55
Te 0.5967 0.9033 0.2500  2 Co 2.55
Te 0.6081 0.3919 0.2440  2 Co 2.59-2.60, 2 Nb 2.83
Te 0.8919 0.1081 0.7440  2 Co 2.59-2.60, 2 Nb 2.83
Te 0.9033 0.5967 0.7500  2 Co 2.55

---

(3)
This record from Materials Project describes a relaxed NbVCo6 crystal. The functional is PBE.

Properties
The formation energy is -0.143 eV per atom. Its calculated density is 8.90 g/cm3. Its space group is No. 160. The size of the total moment comes out at 0.0 μB per formula unit.

a b c (Å): 12.6815 12.6815 12.6815
angles (deg): 23.23 23.23 23.23
Closest atoms and distances in Å follow each position.
Element x y z (fractional)
Nb 0.0000 0.0000 0.0000  12 Co 2.55-2.62
Nb 0.2170 0.2170 0.2170  12 Co 2.53-2.60
Nb 0.7180 0.7180 0.7180  12 Co 2.56-2.64
V 0.1084 0.1084 0.1084  12 Co 2.51-2.55
V 0.5001 0.5001 0.5001  12 Co 2.47-2.56
V 0.6082 0.6082 0.6082  12 Co 2.53-2.55
Co 0.0088 0.4893 0.4893  8 Co 2.45-2.65, 1 V 2.53, 3 Nb 2.56
Co 0.1067 0.1067 0.6103  8 Co 2.49-2.57, 2 V 2.55, 2 Nb 2.60-2.62
Co 0.1067 0.6103 0.1067  8 Co 2.49-2.57, 2 V 2.55, 2 Nb 2.60-2.62
Co 0.1156 0.6072 0.6072  8 Co 2.44-2.60, 3 V 2.55, 1 Nb 2.64
Co 0.2105 0.7241 0.7240  2 V 2.47-2.55, 8 Co 2.48-2.62, 2 Nb 2.55
Co 0.2287 0.2287 0.7073  8 Co 2.44-2.66, 1 V 2.51, 3 Nb 2.55-2.56
Co 0.2287 0.7073 0.2287  8 Co 2.44-2.66, 1 V 2.51, 3 Nb 2.55-2.56
Co 0.4893 0.0088 0.4893  8 Co 2.45-2.65, 1 V 2.53, 3 Nb 2.56
Co 0.4893 0.4893 0.0088  8 Co 2.45-2.65, 1 V 2.53, 3 Nb 2.56
Co 0.5091 0.9895 0.9895  8 Co 2.44-2.65, 3 V 2.53-2.56, 1 Nb 2.53
Co 0.6072 0.1156 0.6072  8 Co 2.44-2.60, 3 V 2.55, 1 Nb 2.64
Co 0.6072 0.6072 0.1156  8 Co 2.44-2.60, 3 V 2.55, 1 Nb 2.64
Co 0.6103 0.1067 0.1067  8 Co 2.49-2.57, 2 V 2.55, 2 Nb 2.60-2.62
Co 0.7073 0.2287 0.2287  8 Co 2.44-2.66, 1 V 2.51, 3 Nb 2.55-2.56
Co 0.7240 0.2105 0.7240  2 V 2.47-2.55, 8 Co 2.48-2.62, 2 Nb 2.55
Co 0.7240 0.7240 0.2105  2 V 2.47-2.55, 8 Co 2.48-2.62, 2 Nb 2.55
Co 0.9895 0.5091 0.9895  8 Co 2.44-2.65, 3 V 2.53-2.56, 1 Nb 2.53
Co 0.9895 0.9895 0.5091  8 Co 2.44-2.65, 3 V 2.53-2.56, 1 Nb 2.53

---

(4)
This record from Materials Project describes a relaxed ZrNbCo4 crystal. The functional is PBE.

Properties
The formation energy is -0.210 eV per atom. Its calculated density is 8.80 g/cm3. Its space group is No. 216. The size of the total moment comes out at 1.6 μB per formula unit.

a b c (Å): 4.8216 4.8216 4.8216
angles (deg): 60.00 60.00 60.00
Closest atoms and distances in Å follow each position.
Element x y z (fractional)
Zr 0.0000 0.0000 0.0000  12 Co 2.83, 4 Nb 2.95
Nb 0.7500 0.7500 0.7500  12 Co 2.83, 4 Zr 2.95
Co 0.3747 0.3747 0.3747  6 Co 2.40-2.42
Co 0.3747 0.3747 0.8759  6 Co 2.40-2.42
Co 0.3747 0.8759 0.3747  6 Co 2.40-2.42
Co 0.8759 0.3747 0.3747  6 Co 2.40-2.42

---

(5)
This record from Materials Project describes a relaxed NdCo5 crystal. The functional is PBE.

Properties
The formation energy is -0.035 eV per atom. Its calculated density is 8.48 g/cm3. Its space group is No. 191. The size of the total moment comes out at 7.1 μB per formula unit.

a b c (Å): 5.0174 5.0174 3.9417
angles (deg): 90.00 90.00 120.00
Closest atoms and distances in Å follow each position.
Element x y z (fractional)
Nd 0.0000 0.0000 0.0000  18 Co 2.90-3.19
Co 0.0000 0.5000 0.5000  8 Co 2.45-2.51
Co 0.3333 0.6667 0.0000  6 Co 2.45
Co 0.5000 0.0000 0.5000  8 Co 2.45-2.51
Co 0.5000 0.5000 0.5000  8 Co 2.45-2.51
Co 0.6667 0.3333 0.0000  6 Co 2.45

---

(6)
This record from Materials Project describes a relaxed Nd2Co17 crystal. The functional is PBE.

Properties
The formation energy is -0.052 eV per atom. Its calculated density is 8.66 g/cm3. Its space group is No. 166.

a b c (Å): 6.3203 6.3203 6.3203
angles (deg): 83.10 83.10 83.10
Closest atoms and distances in Å follow each position.
Element x y z (fractional)
Nd 0.1554 0.1554 0.1554  19 Co 3.02-3.25
Nd 0.8446 0.8446 0.8446  19 Co 3.02-3.25
Co 0.0000 0.5000 0.5000  10 Co 2.38-2.57
Co 0.1570 0.1570 0.6484  9 Co 2.40-2.60
Co 0.1570 0.6484 0.1570  9 Co 2.40-2.60
Co 0.2150 0.5000 0.7850  10 Co 2.38-2.66
Co 0.2150 0.7850 0.5000  10 Co 2.38-2.66
Co 0.3516 0.8430 0.8430  9 Co 2.40-2.60
Co 0.4042 0.4042 0.4042  7 Co 2.34-2.59
Co 0.5000 0.0000 0.5000  10 Co 2.38-2.57
Co 0.5000 0.2150 0.7850  10 Co 2.38-2.66
Co 0.5000 0.5000 0.0000  10 Co 2.38-2.57
Co 0.5000 0.7850 0.2150  10 Co 2.38-2.66
Co 0.5958 0.5958 0.5958  7 Co 2.34-2.59
Co 0.6484 0.1570 0.1570  9 Co 2.40-2.60
Co 0.7850 0.2150 0.5000  10 Co 2.38-2.66
Co 0.7850 0.5000 0.2150  10 Co 2.38-2.66
Co 0.8430 0.3516 0.8430  9 Co 2.40-2.60
Co 0.8430 0.8430 0.3516  9 Co 2.40-2.60

---

(7)
This record from Materials Project describes a relaxed Nd4Co crystal. The functional is PBE.

Properties
The formation energy is 0.301 eV per atom. Its calculated density is 6.43 g/cm3. Its space group is No. 227. The size of the total moment comes out at 0.0 μB per formula unit.

a b c (Å): 7.7430 7.7430 7.7430
angles (deg): 60.00 60.00 60.00
Closest atoms and distances in Å follow each position.
Element x y z (fractional)
Nd 0.2213 0.7596 0.7596  1 Co 2.55
Nd 0.2404 0.2404 0.2404  1 Co 2.55
Nd 0.2404 0.2404 0.7787  1 Co 2.55
Nd 0.2404 0.7787 0.2404  1 Co 2.55
Nd 0.7596 0.2213 0.7596  1 Co 2.55
Nd 0.7596 0.7596 0.2213  1 Co 2.55
Nd 0.7596 0.7596 0.7596  1 Co 2.55
Nd 0.7787 0.2404 0.2404  1 Co 2.55
Co 0.3750 0.3750 0.3750  4 Nd 2.55
Co 0.6250 0.6250 0.6250  4 Nd 2.55

---

(8)
This record from Materials Project describes a relaxed NdCo crystal. The functional is PBE.

Properties
The formation energy is 0.023 eV per atom. Its calculated density is 7.97 g/cm3. Its space group is No. 12. The size of the total moment comes out at 0.0 μB per formula unit.

a b c (Å): 5.7169 5.7169 7.4159
angles (deg): 90.72 90.72 60.90
Closest atoms and distances in Å follow each position.
Element x y z (fractional)
Nd 0.0000 0.0000 0.0000  4 Co 2.74
Nd 0.1598 0.1598 0.5721  4 Co 2.91-2.92
Nd 0.3374 0.3374 0.1271  7 Co 3.02-3.19
Nd 0.6626 0.6626 0.8729  7 Co 3.02-3.19
Nd 0.8402 0.8402 0.4279  4 Co 2.91-2.92
Co 0.1901 0.6086 0.7394  2 Co 2.38-2.42
Co 0.3914 0.8099 0.2606  2 Co 2.38-2.42
Co 0.5000 0.5000 0.5000  4 Co 2.38
Co 0.6086 0.1901 0.7394  2 Co 2.38-2.42
Co 0.8099 0.3914 0.2606  2 Co 2.38-2.42

---

(9)
This record from Materials Project describes a relaxed Nd5Co2 crystal. The functional is PBE.

Properties
The formation energy is -0.067 eV per atom. Its calculated density is 7.33 g/cm3. Its space group is No. 15.

a b c (Å): 8.9067 8.9067 7.0854
angles (deg): 96.08 96.08 42.94
Closest atoms and distances in Å follow each position.
Element x y z (fractional)
Nd 0.0723 0.9277 0.7500  4 Co 2.92-2.98
Nd 0.1451 0.2850 0.3171  2 Co 2.80-2.93
Nd 0.2850 0.1451 0.8171  2 Co 2.80-2.93
Nd 0.2951 0.5164 0.0866  2 Co 2.71-2.85
Nd 0.4836 0.7049 0.4134  2 Co 2.71-2.85
Nd 0.5164 0.2951 0.5866  2 Co 2.71-2.85
Nd 0.7049 0.4836 0.9134  2 Co 2.71-2.85
Nd 0.7150 0.8549 0.1829  2 Co 2.80-2.93
Nd 0.8549 0.7150 0.6829  2 Co 2.80-2.93
Nd 0.9277 0.0723 0.2500  4 Co 2.92-2.98
Co 0.0990 0.6785 0.4251  6 Nd 2.71-2.98
Co 0.3215 0.9010 0.0749  6 Nd 2.71-2.98
Co 0.6785 0.0990 0.9251  6 Nd 2.71-2.98
Co 0.9010 0.3215 0.5749  6 Nd 2.71-2.98